Entry 1:
The following is a DFT calculation (GGA-PBE) of Na9Ca5Ta7Si9S9O72 after structural relaxation.

**Formation enthalpy at 0 K**: -2680 meV per atom
**Total moment**: 0.000 μB/atom
**Space group**: No. 1

POSCAR file:
```
Na9Ca5Ta7Si9S9O72
1.0
-7.072 0.790 -5.675
6.987 -5.405 -2.129
-10.202 -17.618 10.723
Na O Si S Ca Ta
9 72 9 9 5 7
Cartesian
-17.030 -16.733 5.100
0.820 -6.336 -1.565
-12.088 -14.231 1.749
-6.309 -6.991 2.455
-5.696 -6.907 -0.986
-3.626 -14.994 0.526
-10.932 -15.787 4.512
-4.177 -14.934 3.884
-11.960 -7.978 -0.278
-6.905 -9.339 -1.469
-6.745 -1.156 -3.847
-2.156 -5.317 -6.321
-6.218 -17.672 7.338
-4.275 -8.155 2.766
3.720 -8.695 -0.865
-3.390 -6.615 -2.365
-6.544 -11.719 0.573
-1.058 -2.372 -0.476
-12.119 -16.485 6.729
1.567 -5.303 -4.035
-0.975 -11.751 2.804
-3.997 -16.902 5.597
-9.461 -19.972 3.620
-10.007 -6.686 -0.230
-9.025 -11.530 3.791
-5.669 -17.364 3.522
-3.997 -0.862 -4.015
-8.230 -17.321 9.234
-3.930 -10.428 2.194
-5.947 -16.770 0.817
-13.892 -13.617 3.858
-6.895 -13.274 6.099
-8.893 -20.294 6.179
-0.582 -6.930 0.692
-3.970 -21.172 6.598
1.349 -11.489 2.582
-3.197 -8.927 -2.933
-1.568 -16.712 5.572
-4.838 -4.864 -0.420
-11.789 -10.399 0.660
-7.455 -9.750 2.641
-8.327 -15.048 6.987
-0.719 -4.626 1.472
-12.911 -17.578 4.248
0.242 -3.574 -2.102
-7.387 -13.591 1.921
-6.427 -15.566 5.534
-7.089 -10.481 5.327
-2.328 -14.516 2.476
-3.735 -12.627 4.339
-5.037 -13.332 1.651
-5.283 -9.017 0.754
-7.878 -18.210 5.058
-10.571 -18.365 5.481
-5.130 -2.465 -2.136
-1.397 -7.854 -1.747
2.826 -4.732 -1.619
0.926 -8.740 -0.674
-5.377 -19.616 5.349
-7.685 -7.794 0.631
-1.245 -10.630 -0.721
-1.357 -1.837 -2.816
-6.307 -5.456 -3.087
-2.864 -8.716 0.823
-2.487 -2.694 -5.619
-1.791 -7.298 -4.101
-4.160 -4.624 -4.724
-9.933 -15.436 1.936
-2.083 -4.015 -1.955
-9.120 -10.370 0.392
-6.367 -13.993 -0.232
-8.435 -14.566 4.648
-7.490 -19.712 8.424
-2.643 -12.773 0.181
-8.651 -5.664 -2.840
-0.158 -9.681 1.822
-2.658 -18.485 6.853
-4.723 -5.412 2.163
-11.337 -13.527 3.896
-6.324 -21.454 6.652
-10.463 -12.638 1.155
-5.303 -1.153 -2.970
-5.686 -18.066 1.979
-3.336 -4.136 -5.947
-8.270 -10.227 4.186
-4.635 -4.309 1.041
-7.028 -18.179 8.719
-2.038 -12.163 -1.131
-10.518 -11.439 0.147
-9.252 -19.249 4.992
-2.506 -7.666 -2.811
-1.122 -2.948 -1.890
-7.598 -14.608 5.827
-4.058 -9.100 1.656
-0.518 -6.037 1.938
-5.175 -21.052 5.819
0.098 -10.786 2.871
-6.347 -13.135 1.045
-2.757 -17.110 6.441
-3.004 -12.442 2.311
-9.385 -13.364 2.906
-10.586 -5.396 -1.897
-4.309 -4.397 -2.538
-8.832 -19.770 1.493
5.460 -7.905 -0.570
-6.113 -17.690 5.364
-0.805 -8.916 -0.041
-7.405 -9.698 0.784
-6.601 -15.983 -0.831
2.042 -3.680 -3.106
-12.502 -18.575 5.787
```

Entry 2:
The following is a DFT calculation (GGA-PBE) of MgAl2O4 after structural relaxation.

**Formation enthalpy at 0 K**: -3324 meV per atom
**Offset from the most stable computed form**: 51 meV per atom
**Total moment**: 0.000 μB/atom
**Space group**: No. 1

POSCAR file:
```
MgAl2O4
1.0
-0.512 5.132 2.540
-3.092 0.504 4.849
25.865 -4.213 20.197
Al O Mg
28 56 14
Cartesian
-0.455 3.321 6.198
8.432 -0.346 12.134
11.098 0.663 17.129
8.211 2.245 10.025
2.461 1.735 9.885
16.850 1.168 17.275
20.020 -2.955 19.731
22.470 0.660 22.629
13.786 1.774 18.776
9.582 2.764 12.592
11.124 0.761 13.785
14.050 -0.869 17.469
22.686 -1.928 24.745
5.255 3.776 9.679
2.198 4.374 11.185
-0.419 3.361 2.809
-1.535 0.250 2.431
12.761 -1.358 15.043
20.056 -2.856 16.388
22.723 -1.864 21.386
15.421 -0.348 20.037
19.808 -0.365 17.620
2.599 2.776 4.739
6.919 1.755 7.598
1.163 1.236 7.459
10.875 3.253 15.019
21.185 0.154 20.188
8.460 -0.249 8.790
-0.604 4.227 4.401
22.541 -0.124 24.403
4.127 2.424 5.681
0.616 4.664 6.740
2.357 2.487 8.181
5.025 3.501 13.167
13.958 -0.116 15.769
17.996 1.548 23.227
-0.354 1.591 3.017
7.015 0.906 9.328
16.867 -1.468 19.603
-0.627 5.058 9.347
16.992 0.302 15.670
18.376 0.830 18.264
18.092 -1.006 21.902
17.238 -2.159 14.452
13.682 2.657 17.141
11.014 1.649 12.145
21.533 -3.287 20.715
23.934 -0.506 22.084
12.343 2.921 19.323
19.664 1.308 20.669
18.621 -1.708 16.937
9.676 1.914 14.323
4.358 -0.105 4.348
2.598 0.125 6.992
11.228 -0.199 15.518
12.656 -0.464 13.223
9.572 1.104 9.444
-1.721 2.008 5.542
19.910 -1.149 19.452
-0.399 2.428 7.947
6.770 3.441 10.661
12.616 0.326 18.115
5.390 2.914 8.070
16.631 0.890 20.771
24.215 -3.072 20.802
15.330 0.542 18.226
21.318 -0.697 21.935
5.640 0.449 6.852
22.399 1.384 20.925
8.562 -1.206 10.522
10.962 2.468 16.839
3.729 3.152 10.625
22.810 -2.788 23.112
9.946 -0.682 13.117
-2.090 4.465 6.670
9.989 -1.473 8.227
15.413 -2.012 16.897
5.261 1.144 12.000
22.639 -0.961 19.768
3.821 0.595 9.295
11.291 -1.126 10.772
12.235 2.112 14.439
1.090 2.193 5.676
8.296 1.459 11.842
2.217 4.380 7.801
19.707 -1.338 22.897
20.919 0.922 25.094
11.186 0.769 10.441
13.844 1.777 15.437
6.650 2.515 12.500
-0.212 0.755 4.927
18.247 -0.095 20.100
1.329 0.502 2.501
15.577 -1.104 15.103
17.017 -2.345 17.889
12.406 3.019 12.648
5.433 0.264 10.294
3.988 1.502 7.508
```

Entry 3:
The following is a DFT calculation (GGA-PBE) of Cs2OsBrClF4 after structural relaxation.

**Formation enthalpy at 0 K**: -2049 meV per atom
**Total moment**: 0.222 μB/atom
**Space group**: No. 107

POSCAR file:
```
Cs2OsBrClF4
1.0
-3.639 3.639 4.363
3.639 -3.639 4.363
3.639 3.639 -4.363
F Cs Br Cl Os
4 2 1 1 1
Cartesian
1.395 1.395 -0.014
2.245 2.245 4.349
-2.245 2.245 4.349
2.245 -2.245 4.349
3.639 0.000 2.170
0.000 3.639 2.170
0.000 0.000 2.504
0.000 0.000 6.371
0.000 0.000 8.724
```

Entry 4:
The following is a DFT calculation (GGA-PBE) of Dy2Fe15Co2CN after structural relaxation.

**Formation enthalpy at 0 K**: -127 meV per atom
**Total moment**: 1.673 μB/atom
**Space group**: No. 2

POSCAR file:
```
Dy2Fe15Co2CN
1.0
3.864 -3.305 3.952
-4.518 -1.847 4.224
-1.088 -5.863 -2.573
Fe C Co Dy N
15 1 2 2 1
Cartesian
-2.886 -4.712 4.086
0.302 -6.275 6.253
-4.184 -6.984 3.513
-0.544 -2.931 -1.287
-2.259 -0.923 2.112
-1.151 -6.810 0.631
1.363 -5.446 3.937
-2.043 -4.740 -0.650
-0.590 -4.205 4.972
2.443 -4.031 2.089
-3.104 -5.568 1.665
-3.203 -8.117 1.584
1.462 -2.898 4.018
1.145 -6.302 1.516
1.932 -1.653 1.976
1.388 -4.584 0.689
-0.159 -1.029 0.538
-1.582 -9.985 5.064
-1.105 -7.249 3.669
-0.636 -3.765 1.933
-2.803 -3.855 0.825
```

Entry 5:
The following is a DFT calculation (GGA-PBE) of LiTl6C2O6F2 after structural relaxation.

**Formation enthalpy at 0 K**: -1560 meV per atom
**Offset from the most stable computed form**: 10 meV per atom
**Total moment**: 0.000 μB/atom
**Space group**: No. 1

POSCAR file:
```
LiTl6C2O6F2
1.0
-0.343 -6.604 1.032
7.413 0.032 0.714
-4.526 -0.249 6.888
C O Tl F Li
2 6 6 2 1
Cartesian
1.196 -1.667 6.364
1.247 -4.898 2.040
-2.744 -4.965 7.754
0.454 -2.371 5.577
0.741 -1.172 7.488
0.039 -5.369 2.160
2.445 -1.399 6.043
1.945 -4.620 3.107
-0.076 -5.361 4.937
-1.947 -1.789 6.341
4.223 -4.456 1.735
-1.170 -2.180 2.664
2.510 -1.861 3.464
3.415 -5.030 6.154
-2.051 -3.739 4.569
-2.032 -0.362 4.140
7.016 -0.075 0.806
```

Entry 6:
The following is a DFT calculation (GGA-PBE) of V3GaN after structural relaxation.

**Formation enthalpy at 0 K**: -751 meV per atom
**Space group**: No. 63

POSCAR file:
```
V3GaN
1.0
1.490 -5.110 0.000
1.490 5.110 0.000
0.000 0.000 7.884
Ga V N
2 6 2
Cartesian
1.490 -2.474 5.913
1.490 2.474 1.971
1.490 4.779 5.913
1.490 1.282 4.296
1.490 -1.282 0.354
1.490 -1.282 3.588
1.490 1.282 7.530
1.490 -4.779 1.971
0.000 0.000 3.942
0.000 0.000 0.000
```

Entry 7:
The following is a DFT calculation (GGA-PBE) of UGe2Ir2 after structural relaxation.

**Formation enthalpy at 0 K**: -479 meV per atom
**Offset from the most stable computed form**: 0 meV per atom
**Total moment**: 0.460 μB/atom
**Space group**: No. 129

POSCAR file:
```
UGe2Ir2
1.0
-0.714 -1.867 -3.699
0.034 -3.756 1.890
-10.026 0.704 1.581
Ir Ge U
4 4 2
Cartesian
-6.311 -1.434 1.942
-0.340 -2.812 -0.905
0.000 0.000 0.000
-4.055 -0.674 -1.266
-5.353 -2.460 -0.114
-1.686 -0.840 -1.640
-8.679 -1.267 2.316
-5.013 0.352 0.790
-2.560 -1.697 1.351
-7.805 -0.411 -0.675
```

Entry 8:
The following is a DFT calculation (GGA-PBE) of Te2Mo3WS6 after structural relaxation.

**Formation enthalpy at 0 K**: -899 meV per atom
**Offset from the most stable computed form**: 1 meV per atom
**Total moment**: 0.000 μB/atom
**Space group**: No. 156

POSCAR file:
```
Te2Mo3WS6
1.0
1.637 -2.835 0.000
1.637 2.835 0.000
0.000 0.000 37.122
S Mo Te W
6 3 2 1
Cartesian
1.637 -0.945 18.970
1.637 -0.945 15.897
1.637 -0.945 5.023
1.637 0.945 8.916
1.637 -0.945 1.949
1.637 0.945 12.006
1.637 -0.945 24.412
1.637 0.945 3.486
1.637 0.945 17.434
1.637 0.945 26.336
1.637 0.945 22.483
1.637 -0.945 10.461
```

Entry 9:
The following is a DFT calculation (GGA-PBE) of ZnSb4O8 after structural relaxation.

**Formation enthalpy at 0 K**: -1448 meV per atom
**Offset from the most stable computed form**: 229 meV per atom
**Total moment**: 0.017 μB/atom
**Space group**: No. 8

POSCAR file:
```
ZnSb4O8
1.0
-4.592 -5.963 2.678
-4.047 -4.293 5.386
-11.176 -0.256 2.407
O Sb Zn
8 4 1
Cartesian
-1.831 -1.765 1.457
-4.630 -2.149 2.257
-9.155 -2.058 3.112
-17.937 -8.805 9.040
-15.369 -8.481 8.323
-11.837 -5.297 5.649
-8.834 -4.290 4.423
-11.437 -7.975 7.220
-7.760 -6.720 5.706
-6.938 -1.600 2.383
-12.331 -3.653 4.734
-13.348 -8.350 7.836
-4.690 -4.873 3.949
```

Entry 10:
The following is a DFT calculation (GGA-PBE) of CdAsP after structural relaxation.

**Formation enthalpy at 0 K**: -67 meV per atom
**Total moment**: 0.000 μB/atom
**Space group**: No. 24

POSCAR file:
```
CdAsP
1.0
-2.321 3.932 4.061
2.321 -3.932 4.061
2.321 3.932 -4.061
As P Cd
2 2 2
Cartesian
1.160 3.426 4.061
1.160 4.438 0.000
2.321 1.966 2.629
0.000 1.966 5.494
0.647 0.000 2.031
-0.647 3.932 2.031
```

Entry 11:
The following is a DFT calculation (GGA-PBE) of VCr after structural relaxation.

**Formation enthalpy at 0 K**: -42 meV per atom
**Space group**: No. 65

POSCAR file:
```
VCr
1.0
0.490 1.707 -1.806
-2.452 0.107 0.626
0.853 2.787 2.864
V Cr
1 1
Cartesian
-0.555 2.300 0.842
0.000 0.000 0.000
```

Entry 12:
The following is a DFT calculation (GGA-PBE) of Mg2In3WS8 after structural relaxation.

**Formation enthalpy at 0 K**: -983 meV per atom
**Total moment**: 0.214 μB/atom
**Space group**: No. 1

POSCAR file:
```
Mg2In3WS8
1.0
-0.372 -0.289 7.477
-1.791 -6.540 3.414
5.225 -3.723 3.881
In S Mg W
3 8 2 1
Cartesian
4.140 -7.137 9.330
1.345 -5.422 11.121
1.532 -5.278 7.386
-0.188 -6.204 9.140
2.194 -7.909 10.913
-0.064 -5.807 5.407
3.252 -4.346 5.635
3.124 -4.743 9.363
2.362 -7.776 7.497
0.870 -2.647 3.863
0.703 -2.778 7.274
2.670 -9.249 12.925
0.391 -1.302 1.849
0.634 -8.543 9.096
```

Entry 13:
The following is a DFT calculation (GGA-PBE) of Nb2CrB2 after structural relaxation.

**Formation enthalpy at 0 K**: -627 meV per atom
**Space group**: No. 127

POSCAR file:
```
Nb2CrB2
1.0
5.962 0.000 0.000
0.000 5.962 0.000
0.000 0.000 3.264
B Cr Nb
4 2 4
Cartesian
2.324 0.657 0.000
5.305 2.324 0.000
3.638 5.305 0.000
0.657 3.638 0.000
0.000 0.000 0.000
2.981 2.981 0.000
1.903 4.884 1.632
4.058 1.077 1.632
1.077 1.903 1.632
4.884 4.058 1.632
```

Number 1: raw total energy -7.16 eV per atom. Number 2: raw total energy -7.06 eV per atom. Number 3: raw total energy -4.53 eV per atom. Number 4: raw total energy -8.11 eV per atom. Number 5: raw total energy -5.27 eV per atom. Number 6: raw total energy -8.40 eV per atom. Number 7: raw total energy -8.12 eV per atom. Number 8: raw total energy -7.03 eV per atom. Number 9: raw total energy -5.44 eV per atom. Number 10: raw total energy -3.73 eV per atom. Number 11: raw total energy -9.41 eV per atom. Number 12: raw total energy -4.80 eV per atom. Number 13: raw total energy -9.27 eV per atom.